1.
Compound: CaB4O7
Source: the Materials Project database
Functional: r²SCAN
Structure: relaxed

```
data_CaB4O7
_cell_length_a 7.8085
_cell_length_b 9.8936
_cell_length_c 14.4079
_cell_angle_alpha 90.00
_cell_angle_beta 121.52
_cell_angle_gamma 90.00
_space_group_name_H-M_alt 'P 1 21/c 1'
_space_group_IT_number 14
loop_
_space_group_symop_operation_xyz
'x,y,z'
'-x,-y,-z'
'-x,y+1/2,-z+1/2'
'x,-y+1/2,z+1/2'
loop_
_atom_site_label
_atom_site_fract_x
_atom_site_fract_y
_atom_site_fract_z
_atom_site_occupancy
Ca1 0.0162 0.1171 0.3471 1
Ca2 0.3614 0.0808 0.0647 1
B1 0.0830 0.5693 0.6806 1
B2 0.1247 0.7099 0.5496 1
B3 0.2234 0.1081 0.8016 1
B4 0.2252 0.1790 0.2090 1
B5 0.2755 0.6724 0.8674 1
B6 0.2908 0.5848 0.0344 1
B7 0.3022 0.1079 0.6529 1
B8 0.4364 0.7074 0.5412 1
O1 0.0097 0.1482 0.9268 1
O2 0.0718 0.0253 0.8017 1
O3 0.1215 0.6519 0.0425 1
O4 0.1522 0.2494 0.2626 1
O5 0.1987 0.0472 0.1784 1
O6 0.2179 0.6701 0.7602 1
O7 0.2192 0.5766 0.9155 1
O8 0.2586 0.6372 0.5375 1
O9 0.2696 0.0376 0.7242 1
O10 0.3108 0.0546 0.5696 1
O11 0.3171 0.2482 0.6629 1
O12 0.3878 0.7191 0.4270 1
O13 0.3999 0.1103 0.9102 1
O14 0.4682 0.6644 0.0922 1
```

Output
Energy relative to the elements = -2.812 eV/atom
E = -9.3313 eV/atom



2.
Compound: CaB6O10
Source: the Materials Project database
Functional: r²SCAN
Structure: relaxed

```
data_CaB6O10
_cell_length_a 9.7976
_cell_length_b 8.7082
_cell_length_c 9.0862
_cell_angle_alpha 90.00
_cell_angle_beta 116.68
_cell_angle_gamma 90.00
_space_group_name_H-M_alt 'P 1 21/c 1'
_space_group_IT_number 14
loop_
_space_group_symop_operation_xyz
'x,y,z'
'-x,-y,-z'
'-x,y+1/2,-z+1/2'
'x,-y+1/2,z+1/2'
loop_
_atom_site_label
_atom_site_fract_x
_atom_site_fract_y
_atom_site_fract_z
_atom_site_occupancy
Ca1 0.2201 0.1184 0.4605 1
B1 0.0815 0.0256 0.7644 1
B2 0.0829 0.7361 0.3784 1
B3 0.2160 0.5302 0.5638 1
B4 0.3244 0.5525 0.2527 1
B5 0.4438 0.1191 0.2817 1
B6 0.4994 0.2271 0.0601 1
O1 0.0248 0.6338 0.2504 1
O2 0.0527 0.6112 0.8501 1
O3 0.1535 0.0768 0.9372 1
O4 0.1691 0.6830 0.5354 1
O5 0.1955 0.0353 0.6985 1
O6 0.3179 0.0066 0.2204 1
O7 0.3726 0.6373 0.3958 1
O8 0.4048 0.5471 0.1631 1
O9 0.4223 0.2293 0.1533 1
O10 0.4316 0.1908 0.4198 1
```

Output
Energy relative to the elements = -2.742 eV/atom
E = -9.2620 eV/atom



Q: Among the records above, which one has the highest E?
A: CaB6O10